# 1
Here is NaHg3 after structural relaxation from Materials Project. Energies are from PBE.

POSCAR file:
```
NaHg3
1.0
-2.538 3.201 -2.427
-4.015 -1.949 1.629
0.102 2.921 3.746
Hg Na
3 1
Direct
0.500 0.500 0.000
0.500 0.000 0.500
0.000 0.500 0.500
0.000 0.000 0.000
```

Energy of formation   -0.74 eV per formula unit
Calculated volume   107.3 Å³/cell



# 2
Here is Nb8P15O56 after structural relaxation from Materials Project. Energies are from PBE.

POSCAR file:
```
Nb8P15O56
1.0
-9.684 2.701 -6.464
-3.370 -7.007 -9.078
-9.891 -6.659 0.837
O Nb P
56 8 15
Direct
0.678 0.901 0.877
0.816 0.121 0.462
0.544 0.179 0.877
0.330 0.086 0.113
0.041 0.901 0.179
0.113 0.330 0.086
0.402 0.679 0.540
0.901 0.877 0.678
0.086 0.113 0.330
0.961 0.320 0.621
0.461 0.619 0.098
0.679 0.375 0.042
0.748 0.748 0.748
0.122 0.602 0.955
0.748 0.250 0.250
0.902 0.537 0.380
0.877 0.544 0.179
0.121 0.462 0.816
0.602 0.955 0.122
0.404 0.038 0.874
0.874 0.404 0.038
0.251 0.251 0.251
0.100 0.821 0.960
0.320 0.621 0.961
0.183 0.402 0.383
0.402 0.383 0.183
0.821 0.960 0.100
0.960 0.100 0.821
0.877 0.678 0.901
0.621 0.961 0.320
0.383 0.183 0.402
0.752 0.749 0.256
0.250 0.748 0.250
0.375 0.042 0.679
0.616 0.821 0.600
0.462 0.816 0.121
0.380 0.902 0.537
0.540 0.402 0.679
0.901 0.179 0.041
0.042 0.679 0.375
0.679 0.540 0.402
0.955 0.122 0.602
0.179 0.877 0.544
0.098 0.461 0.619
0.321 0.460 0.595
0.595 0.321 0.460
0.619 0.098 0.461
0.749 0.256 0.752
0.179 0.041 0.901
0.460 0.595 0.321
0.256 0.752 0.749
0.537 0.380 0.902
0.038 0.874 0.404
0.600 0.616 0.821
0.821 0.600 0.616
0.250 0.250 0.748
0.008 0.009 0.486
0.004 0.498 0.497
0.486 0.008 0.009
0.009 0.486 0.008
0.500 0.500 0.500
0.000 0.000 0.000
0.497 0.004 0.498
0.498 0.497 0.004
0.414 0.694 0.195
0.912 0.196 0.696
0.805 0.805 0.805
0.196 0.696 0.912
0.195 0.414 0.694
0.804 0.304 0.087
0.696 0.912 0.196
0.694 0.195 0.414
0.805 0.586 0.305
0.300 0.300 0.300
0.305 0.805 0.586
0.304 0.087 0.804
0.696 0.696 0.696
0.586 0.305 0.805
0.087 0.804 0.304
```

Energy of formation   -217.68 eV per formula unit
Calculated volume   1195.3 Å³/cell



# 3
Here is ReNO4 after structural relaxation from Materials Project. Energies are from PBE.

POSCAR file:
```
ReNO4
1.0
-0.813 -2.762 8.454
-5.759 1.415 6.677
1.449 -1.940 -8.596
N Re O
2 2 8
Direct
0.250 0.750 0.500
0.500 0.500 0.000
0.750 0.250 0.500
0.000 0.000 0.000
0.265 0.289 0.434
0.895 0.419 0.934
0.581 0.515 0.476
0.485 0.961 0.066
0.039 0.105 0.524
0.855 0.831 0.566
0.711 0.145 0.976
0.169 0.735 0.024
```

Energy of formation   -3.52 eV per formula unit
Calculated volume   186.5 Å³/cell



# 4
Here is HfMn2 after structural relaxation from Materials Project. Energies are from PBE.

POSCAR file:
```
HfMn2
1.0
3.528 3.343 -0.588
0.769 -3.892 2.869
2.873 -4.158 -6.410
Hf Mn
4 8
Direct
0.667 0.333 0.064
0.333 0.667 0.936
0.667 0.333 0.436
0.333 0.667 0.564
0.659 0.829 0.250
0.341 0.171 0.750
0.000 0.000 0.500
0.171 0.829 0.250
0.829 0.659 0.750
0.829 0.171 0.750
0.000 0.000 0.000
0.171 0.341 0.250
```

Energy of formation   -0.79 eV per formula unit
Calculated volume   169.4 Å³/cell